Entry 1:
! Ba3Ti3O8, optimized geometry, DFT PBE; values from VASP
&SYSTEM
  ibrav = 0, nat = 14, ntyp = 3
/
ATOMIC_SPECIES
Ba 137.33 Ba.upf
Ti 47.87 Ti.upf
O 16.00 O.upf
CELL_PARAMETERS angstrom
5.0488 -2.8448 0.0000
5.0488 2.8448 0.0000
-0.2093 0.0000 7.0393
ATOMIC_POSITIONS crystal
Ba 0.0000 0.0000 0.0000
Ba 0.3345 0.3345 0.6673
Ba 0.6655 0.6655 0.3327
Ti 0.0000 0.0000 0.5000
Ti 0.3177 0.3177 0.1840
Ti 0.6823 0.6823 0.8160
O 0.0000 0.5000 0.0000
O 0.1664 0.1664 0.3386
O 0.1724 0.6647 0.3271
O 0.3353 0.8276 0.6729
O 0.5000 0.0000 0.0000
O 0.6647 0.1724 0.3271
O 0.8276 0.3353 0.6729
O 0.8336 0.8336 0.6614
! Formation enthalpy at 0 K in eV/atom: -3.32

Entry 2:
! Tb4H9, optimized geometry, DFT PBE; values from VASP
&SYSTEM
  ibrav = 0, nat = 13, ntyp = 2
/
ATOMIC_SPECIES
Tb 158.93 Tb.upf
H 1.01 H.upf
CELL_PARAMETERS angstrom
-2.6076 2.6076 5.2451
2.6076 -2.6076 5.2451
2.6076 2.6076 -5.2451
ATOMIC_POSITIONS crystal
Tb 0.0000 0.5000 0.5000
Tb 0.2477 0.2477 0.0000
Tb 0.5000 0.0000 0.5000
Tb 0.7523 0.7523 0.0000
H 0.0000 0.0000 0.0000
H 0.1293 0.1293 0.5138
H 0.1293 0.6155 0.0000
H 0.3845 0.3845 0.5138
H 0.3845 0.8707 0.0000
H 0.6155 0.1293 0.0000
H 0.6155 0.6155 0.4862
H 0.8707 0.3845 0.0000
H 0.8707 0.8707 0.4862
! Formation enthalpy at 0 K in eV/atom: -0.78

Entry 3:
! Cs2TlBiBr6, optimized geometry, DFT PBE; values from VASP
&SYSTEM
  ibrav = 0, nat = 10, ntyp = 4
/
ATOMIC_SPECIES
Cs 132.91 Cs.upf
Tl 204.38 Tl.upf
Bi 208.98 Bi.upf
Br 79.90 Br.upf
CELL_PARAMETERS angstrom
0.0000 6.0490 6.0490
6.0490 0.0000 6.0490
6.0490 6.0490 0.0000
ATOMIC_POSITIONS crystal
Cs 0.2500 0.2500 0.2500
Cs 0.7500 0.7500 0.7500
Tl 0.0000 0.0000 0.0000
Bi 0.5000 0.5000 0.5000
Br 0.2622 0.2622 0.7378
Br 0.2622 0.7378 0.2622
Br 0.2622 0.7378 0.7378
Br 0.7378 0.2622 0.2622
Br 0.7378 0.2622 0.7378
Br 0.7378 0.7378 0.2622
! Formation enthalpy at 0 K in eV/atom: -1.55

Entry 4:
! TiH19C6N3Cl2, optimized geometry, DFT PBE; values from VASP
&SYSTEM
  ibrav = 0, nat = 124, ntyp = 5
/
ATOMIC_SPECIES
Ti 47.87 Ti.upf
H 1.01 H.upf
C 12.01 C.upf
N 14.01 N.upf
Cl 35.45 Cl.upf
CELL_PARAMETERS angstrom
8.9881 0.0000 0.0000
0.0000 12.8275 0.0000
-1.7586 0.0000 14.4942
ATOMIC_POSITIONS crystal
Ti 0.2214 0.2176 0.2598
Ti 0.2214 0.2824 0.7598
Ti 0.7786 0.7176 0.2402
Ti 0.7786 0.7824 0.7402
H 0.0253 0.2234 0.0776
H 0.0253 0.2766 0.5776
H 0.0306 0.6608 0.1461
H 0.0306 0.8392 0.6461
H 0.1083 0.6256 0.4007
H 0.1083 0.8744 0.9007
H 0.1217 0.0056 0.1284
H 0.1217 0.4944 0.6284
H 0.1419 0.7403 0.8767
H 0.1419 0.7597 0.3767
H 0.1430 0.5876 0.2338
H 0.1430 0.9124 0.7338
H 0.1451 0.0068 0.3561
H 0.1451 0.4932 0.8561
H 0.1721 0.7250 0.2209
H 0.1721 0.7750 0.7209
H 0.2376 0.0507 0.4651
H 0.2376 0.4493 0.9651
H 0.2636 0.1506 0.0810
H 0.2636 0.3494 0.5810
H 0.2753 0.5355 0.5702
H 0.2753 0.9645 0.0702
H 0.2900 0.5410 0.6930
H 0.2900 0.9590 0.1930
H 0.3336 0.5322 0.8933
H 0.3336 0.9678 0.3933
H 0.4483 0.1771 0.4662
H 0.4483 0.3229 0.9662
H 0.4609 0.5923 0.1079
H 0.4609 0.9077 0.6079
H 0.4752 0.5649 0.3011
H 0.4752 0.9351 0.8011
H 0.4828 0.6845 0.3646
H 0.4828 0.8155 0.8646
H 0.4964 0.2245 0.3592
H 0.4964 0.2755 0.8592
H 0.4971 0.0621 0.0764
H 0.4971 0.4379 0.5764
H 0.5029 0.5621 0.4236
H 0.5029 0.9379 0.9236
H 0.5036 0.7245 0.1408
H 0.5036 0.7755 0.6408
H 0.5172 0.1845 0.1354
H 0.5172 0.3155 0.6354
H 0.5248 0.0649 0.1989
H 0.5248 0.4351 0.6989
H 0.5391 0.0923 0.3921
H 0.5391 0.4077 0.8921
H 0.5517 0.6771 0.0338
H 0.5517 0.8229 0.5338
H 0.6664 0.0322 0.6067
H 0.6664 0.4678 0.1067
H 0.7100 0.0410 0.8070
H 0.7100 0.4590 0.3070
H 0.7247 0.0355 0.9298
H 0.7247 0.4645 0.4298
H 0.7364 0.6506 0.4190
H 0.7364 0.8494 0.9190
H 0.7624 0.5507 0.0349
H 0.7624 0.9493 0.5349
H 0.8279 0.2250 0.2791
H 0.8279 0.2750 0.7791
H 0.8549 0.5068 0.1439
H 0.8549 0.9932 0.6439
H 0.8570 0.0876 0.2662
H 0.8570 0.4124 0.7662
H 0.8581 0.2403 0.6233
H 0.8581 0.2597 0.1233
H 0.8783 0.5056 0.3716
H 0.8783 0.9944 0.8716
H 0.8917 0.1256 0.0993
H 0.8917 0.3744 0.5993
H 0.9694 0.1608 0.3539
H 0.9694 0.3392 0.8539
H 0.9747 0.7234 0.4224
H 0.9747 0.7766 0.9224
C 0.0540 0.6990 0.3751
C 0.0540 0.8010 0.8751
C 0.0862 0.6628 0.2171
C 0.0862 0.8372 0.7171
C 0.2440 0.0042 0.1322
C 0.2440 0.4958 0.6322
C 0.2528 0.0328 0.3927
C 0.2528 0.4672 0.8927
C 0.4558 0.1554 0.3935
C 0.4558 0.3446 0.8935
C 0.4709 0.1059 0.1375
C 0.4709 0.3941 0.6375
C 0.5291 0.6059 0.3625
C 0.5291 0.8941 0.8625
C 0.5442 0.6554 0.1065
C 0.5442 0.8446 0.6065
C 0.7472 0.5328 0.1073
C 0.7472 0.9672 0.6073
C 0.7560 0.5042 0.3678
C 0.7560 0.9958 0.8678
C 0.9138 0.1628 0.2829
C 0.9138 0.3372 0.7829
C 0.9460 0.1990 0.1249
C 0.9460 0.3010 0.6249
N 0.0200 0.1851 0.2179
N 0.0200 0.3149 0.7179
N 0.3065 0.1109 0.1396
N 0.3065 0.3891 0.6396
N 0.3107 0.1223 0.3484
N 0.3107 0.3777 0.8484
N 0.6893 0.6223 0.1516
N 0.6893 0.8777 0.6516
N 0.6935 0.6109 0.3604
N 0.6935 0.8891 0.8604
N 0.9800 0.6851 0.2821
N 0.9800 0.8149 0.7821
Cl 0.1728 0.1573 0.8727
Cl 0.1728 0.3427 0.3727
Cl 0.3380 0.1566 0.6778
Cl 0.3380 0.3434 0.1778
Cl 0.6620 0.6566 0.8222
Cl 0.6620 0.8434 0.3222
Cl 0.8272 0.6573 0.6273
Cl 0.8272 0.8427 0.1273
! Formation enthalpy at 0 K in eV/atom: -0.36

Entry 5:
! CuAu2C4N4Cl4O6, optimized geometry, DFT PBE; values from VASP
&SYSTEM
  ibrav = 0, nat = 21, ntyp = 6
/
ATOMIC_SPECIES
Cu 63.55 Cu.upf
Au 196.97 Au.upf
C 12.01 C.upf
N 14.01 N.upf
Cl 35.45 Cl.upf
O 16.00 O.upf
CELL_PARAMETERS angstrom
4.7437 0.0000 0.0000
-1.3421 9.3410 0.0000
-0.6137 -0.3541 9.7007
ATOMIC_POSITIONS crystal
Cu 0.0000 0.0000 0.0000
Au 0.5000 0.5000 0.0000
Au 0.5000 0.5000 0.5000
C 0.2845 0.3021 0.9745
C 0.3533 0.6356 0.3649
C 0.6467 0.3644 0.6351
C 0.7155 0.6979 0.0255
N 0.1618 0.1861 0.9715
N 0.2861 0.7220 0.2904
N 0.7139 0.2780 0.7096
N 0.8382 0.8139 0.0285
Cl 0.2094 0.5850 0.8273
Cl 0.2123 0.3027 0.3970
Cl 0.7877 0.6973 0.6030
Cl 0.7906 0.4150 0.1727
O 0.1264 0.0241 0.5021
O 0.3811 0.9912 0.1523
O 0.3867 0.9296 0.8499
O 0.6133 0.0704 0.1501
O 0.6189 0.0088 0.8477
O 0.8736 0.9759 0.4979
! Formation enthalpy at 0 K in eV/atom: 0.22

Entry 6:
! BaLaBr5, optimized geometry, DFT PBE; values from VASP
&SYSTEM
  ibrav = 0, nat = 14, ntyp = 3
/
ATOMIC_SPECIES
Ba 137.33 Ba.upf
La 138.91 La.upf
Br 79.90 Br.upf
CELL_PARAMETERS angstrom
8.3517 0.0000 0.0000
0.0000 4.6925 0.0000
-0.3408 0.0000 13.8315
ATOMIC_POSITIONS crystal
Ba 0.0621 0.2500 0.3450
Ba 0.9379 0.7500 0.6550
La 0.4321 0.7500 0.1524
La 0.5679 0.2500 0.8476
Br 0.0780 0.7500 0.1617
Br 0.1589 0.2500 0.5742
Br 0.3242 0.2500 0.0175
Br 0.3622 0.7500 0.3592
Br 0.3631 0.7500 0.7865
Br 0.6369 0.2500 0.2135
Br 0.6378 0.2500 0.6408
Br 0.6758 0.7500 0.9825
Br 0.8411 0.7500 0.4258
Br 0.9220 0.2500 0.8383
! Formation enthalpy at 0 K in eV/atom: -2.45